Density functional theory data (PBE-GGA) for crystalline Rb12MgCl4O4 at its relaxed geometry.

POSCAR file:
```
Rb12MgCl4O4
1.0
7.826 0.000 0.000
0.280 8.165 0.000
1.502 0.162 11.308
Rb Mg Cl O
12 1 4 4
Direct
0.000 0.000 0.000 Rb
0.001 0.493 0.566 Rb
0.024 0.470 0.092 Rb
0.083 0.025 0.617 Rb
0.131 0.783 0.290 Rb
0.283 0.672 0.833 Rb
0.472 0.051 0.120 Rb
0.503 0.412 0.560 Rb
0.518 0.533 0.141 Rb
0.587 0.995 0.710 Rb
0.760 0.352 0.850 Rb
0.803 0.200 0.332 Rb
0.494 0.831 0.451 Mg
0.225 0.330 0.319 Cl
0.255 0.266 0.822 Cl
0.768 0.599 0.350 Cl
0.865 0.738 0.815 Cl
0.246 0.764 0.069 O
0.384 0.746 0.596 O
0.759 0.251 0.084 O
0.799 0.237 0.621 O
```

Calculated values
MP2020-corrected energy	-3.29	eV per atom
energy of formation	-28.48	eV/f.u.
space-group type	P1, No. 1
total moment	0.00	μB/cell
ρ	2.89	g cm⁻³
energy above the most stable polymorph in this dataset	0.001	eV/atom

***

Density functional theory data (PBE-GGA) for crystalline FeCuPt2 at its relaxed geometry.

POSCAR file:
```
FeCuPt2
1.0
2.711 0.000 0.000
0.000 2.711 0.000
0.000 0.000 7.334
Fe Cu Pt
1 1 2
Direct
0.000 0.000 0.000 Fe
0.000 0.000 0.500 Cu
0.500 0.500 0.239 Pt
0.500 0.500 0.761 Pt
```

Calculated values
energy of formation	-0.72	eV/f.u.
space-group type	P4/mmm, No. 123
ρ	15.70	g cm⁻³

***

Density functional theory data (PBE-GGA) for crystalline MgHg2Bi2O6 at its relaxed geometry.

POSCAR file:
```
MgHg2Bi2O6
1.0
6.018 0.000 0.000
2.451 5.767 0.000
2.683 -0.763 5.694
Mg Hg Bi O
1 2 2 6
Direct
0.000 0.000 0.000 Mg
0.063 0.539 0.820 Hg
0.131 0.150 0.388 Hg
0.453 0.523 0.173 Bi
0.632 0.889 0.599 Bi
0.065 0.515 0.386 O
0.215 0.181 0.818 O
0.330 0.713 0.931 O
0.404 0.803 0.386 O
0.782 0.111 0.342 O
0.831 0.898 0.838 O
```

Calculated values
MP2020-corrected energy	-5.02	eV per atom
energy of formation	-15.59	eV/f.u.
space-group type	P1, No. 1
total moment	0.00	μB/cell
ρ	7.89	g cm⁻³
energy above the most stable polymorph in this dataset	0.021	eV/atom

***

Density functional theory data (PBE-GGA) for crystalline Li11TiAs5 at its relaxed geometry.

POSCAR file:
```
Li11TiAs5
1.0
7.112 -2.124 0.000
7.112 2.124 0.000
-4.950 0.000 9.375
Li Ti As
11 1 5
Direct
0.000 0.000 0.000 Li
0.002 0.002 0.751 Li
0.187 0.187 0.543 Li
0.210 0.210 0.822 Li
0.221 0.221 0.072 Li
0.405 0.405 0.826 Li
0.409 0.409 0.338 Li
0.584 0.584 0.643 Li
0.614 0.614 0.159 Li
0.808 0.808 0.981 Li
0.996 0.996 0.251 Li
0.807 0.807 0.461 Ti
0.216 0.216 0.322 As
0.413 0.413 0.086 As
0.609 0.609 0.906 As
0.795 0.795 0.688 As
0.989 0.989 0.500 As
```

Calculated values
energy of formation	-12.09	eV/f.u.
space-group type	Cm, No. 8
total moment	0.00	μB/cell
ρ	2.92	g cm⁻³

***

Density functional theory data (PBE-GGA) for crystalline Sn3Ir2Se3 at its relaxed geometry.

POSCAR file:
```
Sn3Ir2Se3
1.0
6.428 3.711 5.257
-6.428 3.711 5.257
0.000 -7.422 5.257
Sn Ir Se
12 8 12
Direct
0.002 0.152 0.668 Sn
0.152 0.668 0.002 Sn
0.168 0.501 0.349 Sn
0.332 0.998 0.848 Sn
0.349 0.168 0.501 Sn
0.499 0.651 0.832 Sn
0.501 0.349 0.168 Sn
0.651 0.832 0.499 Sn
0.668 0.002 0.152 Sn
0.832 0.499 0.651 Sn
0.848 0.332 0.998 Sn
0.998 0.848 0.332 Sn
0.244 0.746 0.744 Ir
0.245 0.245 0.245 Ir
0.254 0.256 0.756 Ir
0.256 0.756 0.254 Ir
0.744 0.244 0.746 Ir
0.746 0.744 0.244 Ir
0.755 0.755 0.755 Ir
0.756 0.254 0.256 Ir
0.001 0.149 0.347 Se
0.149 0.347 0.001 Se
0.152 0.500 0.650 Se
0.347 0.001 0.149 Se
0.350 0.848 0.500 Se
0.500 0.350 0.848 Se
0.500 0.650 0.152 Se
0.650 0.152 0.500 Se
0.653 0.999 0.851 Se
0.848 0.500 0.350 Se
0.851 0.653 0.999 Se
0.999 0.851 0.653 Se
```

Calculated values
MP2020-corrected energy	-5.67	eV per atom
energy of formation	-5.14	eV/f.u.
space-group type	R-3, No. 148
ρ	8.63	g cm⁻³

***

Density functional theory data (PBE-GGA) for crystalline B4H5 at its relaxed geometry.

POSCAR file:
```
B4H5
1.0
5.872 0.000 0.000
0.000 13.468 0.000
-0.724 0.000 16.531
B H
64 80
Direct
0.002 0.091 0.255 B
0.002 0.409 0.755 B
0.010 0.559 0.140 B
0.010 0.941 0.640 B
0.031 0.185 0.328 B
0.031 0.315 0.828 B
0.076 0.188 0.017 B
0.076 0.312 0.517 B
0.092 0.529 0.790 B
0.092 0.971 0.290 B
0.197 0.190 0.509 B
0.197 0.310 0.009 B
0.198 0.130 0.410 B
0.198 0.370 0.910 B
0.210 0.108 0.952 B
0.210 0.392 0.452 B
0.224 0.180 0.247 B
0.224 0.320 0.747 B
0.247 0.506 0.884 B
0.247 0.994 0.384 B
0.248 0.038 0.218 B
0.248 0.462 0.718 B
0.315 0.213 0.346 B
0.315 0.287 0.846 B
0.368 0.197 0.006 B
0.368 0.303 0.506 B
0.383 0.537 0.793 B
0.383 0.963 0.293 B
0.416 0.178 0.899 B
0.416 0.322 0.399 B
0.430 0.199 0.443 B
0.430 0.301 0.943 B
0.570 0.699 0.057 B
0.570 0.801 0.557 B
0.584 0.678 0.601 B
0.584 0.822 0.101 B
0.617 0.037 0.707 B
0.617 0.463 0.207 B
0.632 0.697 0.494 B
0.632 0.803 0.994 B
0.685 0.713 0.154 B
0.685 0.787 0.654 B
0.752 0.538 0.282 B
0.752 0.962 0.782 B
0.753 0.006 0.616 B
0.753 0.494 0.116 B
0.776 0.680 0.253 B
0.776 0.820 0.753 B
0.790 0.608 0.548 B
0.790 0.892 0.048 B
0.802 0.630 0.090 B
0.802 0.870 0.590 B
0.803 0.690 0.991 B
0.803 0.810 0.491 B
0.908 0.029 0.710 B
0.908 0.471 0.210 B
0.924 0.688 0.483 B
0.924 0.812 0.983 B
0.969 0.685 0.172 B
0.969 0.815 0.672 B
0.990 0.059 0.360 B
0.990 0.441 0.860 B
0.998 0.591 0.245 B
0.998 0.909 0.745 B
0.007 0.639 0.549 H
0.007 0.861 0.049 H
0.009 0.724 0.010 H
0.009 0.776 0.510 H
0.023 0.100 0.726 H
0.023 0.400 0.226 H
0.030 0.660 0.427 H
0.030 0.840 0.927 H
0.115 0.746 0.165 H
0.115 0.754 0.665 H
0.153 0.597 0.294 H
0.153 0.903 0.794 H
0.174 0.536 0.104 H
0.174 0.964 0.604 H
0.193 0.143 0.569 H
0.193 0.357 0.069 H
0.210 0.020 0.958 H
0.210 0.480 0.458 H
0.228 0.134 0.872 H
0.228 0.366 0.372 H
0.238 0.237 0.192 H
0.238 0.263 0.692 H
0.259 0.019 0.147 H
0.259 0.481 0.647 H
0.268 0.563 0.939 H
0.268 0.937 0.439 H
0.389 0.662 0.042 H
0.389 0.838 0.542 H
0.422 0.633 0.622 H
0.422 0.867 0.122 H
0.432 0.180 0.285 H
0.432 0.320 0.785 H
0.457 0.011 0.361 H
0.457 0.489 0.861 H
0.462 0.035 0.245 H
0.462 0.465 0.745 H
0.495 0.107 0.716 H
0.495 0.393 0.216 H
0.496 0.673 0.442 H
0.496 0.827 0.942 H
0.504 0.173 0.058 H
0.504 0.327 0.558 H
0.505 0.607 0.784 H
0.505 0.893 0.284 H
0.538 0.535 0.255 H
0.538 0.965 0.755 H
0.543 0.511 0.139 H
0.543 0.989 0.639 H
0.568 0.680 0.215 H
0.568 0.820 0.715 H
0.578 0.133 0.878 H
0.578 0.367 0.378 H
0.611 0.162 0.458 H
0.611 0.338 0.958 H
0.732 0.063 0.561 H
0.732 0.437 0.061 H
0.741 0.519 0.353 H
0.741 0.981 0.853 H
0.762 0.737 0.308 H
0.762 0.763 0.808 H
0.772 0.634 0.628 H
0.772 0.866 0.128 H
0.790 0.520 0.542 H
0.790 0.980 0.042 H
0.807 0.643 0.931 H
0.807 0.857 0.431 H
0.826 0.036 0.396 H
0.826 0.464 0.896 H
0.847 0.097 0.206 H
0.847 0.403 0.706 H
0.885 0.246 0.335 H
0.885 0.254 0.835 H
0.970 0.160 0.073 H
0.970 0.340 0.573 H
0.977 0.600 0.774 H
0.977 0.900 0.274 H
0.991 0.224 0.490 H
0.991 0.276 0.990 H
0.993 0.139 0.951 H
0.993 0.361 0.451 H
```

Calculated values
MP2020-corrected energy	-5.03	eV per atom
energy of formation	-1.55	eV/f.u.
space-group type	P2_1/c, No. 14
total moment	0.00	μB/cell
ρ	0.98	g cm⁻³
energy above the most stable polymorph in this dataset	0.004	eV/atom

***

Density functional theory data (PBE-GGA) for crystalline Ta6Cr3Ni3C2 at its relaxed geometry.

POSCAR file:
```
Ta6Cr3Ni3C2
1.0
-4.014 4.060 5.724
4.014 -4.060 5.724
4.014 4.060 -5.724
Ta Cr Ni C
12 6 6 4
Direct
0.000 0.000 0.000 Ta
0.000 0.385 0.000 Ta
0.000 0.999 0.615 Ta
0.248 0.136 0.501 Ta
0.248 0.747 0.112 Ta
0.249 0.749 0.500 Ta
0.384 0.385 0.385 Ta
0.384 0.999 0.000 Ta
0.386 0.386 0.000 Ta
0.636 0.136 0.888 Ta
0.636 0.747 0.499 Ta
0.639 0.139 0.500 Ta
0.020 0.366 0.654 Cr
0.321 0.568 0.753 Cr
0.712 0.366 0.346 Cr
0.815 0.568 0.247 Cr
0.816 0.070 0.253 Cr
0.816 0.563 0.747 Cr
0.022 0.364 0.342 Ni
0.022 0.680 0.658 Ni
0.612 0.771 0.841 Ni
0.613 0.454 0.841 Ni
0.613 0.771 0.159 Ni
0.930 0.771 0.159 Ni
0.316 0.067 0.249 C
0.317 0.067 0.750 C
0.317 0.567 0.250 C
0.819 0.067 0.751 C
```

Calculated values
energy of formation	-4.59	eV/f.u.
space-group type	Imm2, No. 44
total moment	0.01	μB/cell
ρ	12.84	g cm⁻³

***

Q: The highest energy of formation belongs to which entry?
A: FeCuPt2